Computed, not measured: a relaxed KHoO3 crystal at the PBE level of DFT.

Cell lengths 4.448, 4.448, 4.448 Å; angles 90.00, 90.00, 90.00 degrees
Fractional positions:
K1 0.000 0.000 0.000
Ho1 0.500 0.500 0.500
O1 0.000 0.500 0.500
O2 0.500 0.000 0.500
O3 0.500 0.500 0.000

Output
MP2020-corrected energy = -32.104 eV per cell
mass density = 4754 kg/m³
calculated formation energy = -2.31 eV per atom
symmetry = Pm-3m